No. 1
Compound: Ba2MgTiO4
Source: the Materials Project database
Functional: PBE-GGA
Structure: relaxed

relative energy among the computed polymorphs: 327 meV/atom
energy of formation from the pure elements: -2.50 eV per atom
space group: No. 25
final energy: -6.30 eV/atom
M_tot: 0.0 Bohr magnetons per cell

a = 3.9475 Å, b = 3.9475 Å, c = 10.4504 Å
α = 90.00°, β = 90.00°, γ = 90.00°
Fractional coordinates of all 8 atoms:
O (0.4942, 0.5000, 0.5539)
O (0.4958, 0.0000, 0.7500)
O (0.9952, 0.5000, 0.7500)
Ba (0.9916, 0.0000, 0.0455)
Ba (0.9916, 0.0000, 0.4545)
Mg (0.9959, 0.0000, 0.7500)
Ti (0.4954, 0.5000, 0.7500)
O (0.4942, 0.5000, 0.9461)

=====

No. 2
Compound: BaMg30TiO32
Source: the Materials Project database
Functional: PBE-GGA
Structure: relaxed

energy of formation from the pure elements: -2.94 eV per atom
space group: No. 123
final energy: -5.97 eV/atom
M_tot: 1.8 Bohr magnetons per cell

a = 8.6860 Å, b = 8.6680 Å, c = 8.6680 Å
α = 90.00°, β = 90.00°, γ = 90.00°
Fractional coordinates of all 64 atoms:
Mg (0.7476, 0.2493, 0.0000)
Mg (0.7476, 0.0000, 0.2493)
Mg (0.2581, 0.2425, 0.5000)
Mg (0.2581, 0.5000, 0.2425)
O (0.5000, 0.5000, 0.2444)
Mg (0.2524, 0.7507, 0.0000)
Mg (0.5000, 0.5000, 0.0000)
Mg (0.5000, 0.0000, 0.0000)
Mg (0.0000, 0.2447, 0.2447)
Mg (0.2524, 0.0000, 0.2493)
O (0.7416, 0.0000, 0.0000)
O (0.2492, 0.2502, 0.7498)
Mg (0.0000, 0.7553, 0.2447)
O (0.0000, 0.7791, 0.5000)
O (0.0000, 0.0000, 0.2465)
O (0.0000, 0.5000, 0.7791)
O (0.0000, 0.2465, 0.0000)
O (0.5000, 0.2493, 0.0000)
O (0.5000, 0.7556, 0.5000)
Mg (0.2524, 0.0000, 0.7507)
Mg (0.7419, 0.5000, 0.7575)
O (0.5000, 0.7507, 0.0000)
O (0.2790, 0.5000, 0.5000)
O (0.2492, 0.7498, 0.7498)
Mg (0.5000, 0.2492, 0.2492)
Mg (0.5000, 0.0000, 0.5000)
Mg (0.0000, 0.7553, 0.7553)
Ba (0.0000, 0.5000, 0.5000)
Mg (0.5000, 0.7508, 0.2492)
Mg (0.2581, 0.5000, 0.7575)
Mg (0.7476, 0.7507, 0.0000)
O (0.7508, 0.7498, 0.7498)
O (0.2492, 0.2502, 0.2502)
Ti (0.0000, 0.0000, 0.0000)
Mg (0.5000, 0.2492, 0.7508)
O (0.7508, 0.2502, 0.7498)
Mg (0.0000, 0.5000, 0.0000)
O (0.2584, 0.0000, 0.0000)
O (0.0000, 0.0000, 0.7535)
Mg (0.5000, 0.5000, 0.5000)
O (0.5000, 0.2444, 0.5000)
O (0.7442, 0.0000, 0.5000)
O (0.7508, 0.2502, 0.2502)
O (0.5000, 0.0000, 0.2493)
Mg (0.2524, 0.2493, 0.0000)
O (0.2492, 0.7498, 0.2502)
O (0.2558, 0.5000, 0.0000)
O (0.2558, 0.0000, 0.5000)
Mg (0.7476, 0.0000, 0.7507)
O (0.0000, 0.5000, 0.2209)
O (0.0000, 0.2209, 0.5000)
Mg (0.5000, 0.7508, 0.7508)
O (0.7442, 0.5000, 0.0000)
Mg (0.0000, 0.0000, 0.5000)
O (0.0000, 0.7535, 0.0000)
Mg (0.7419, 0.2425, 0.5000)
O (0.5000, 0.0000, 0.7507)
Mg (0.0000, 0.2447, 0.7553)
O (0.7508, 0.7498, 0.2502)
Mg (0.2581, 0.7575, 0.5000)
Mg (0.7419, 0.5000, 0.2425)
Mg (0.7419, 0.7575, 0.5000)
O (0.5000, 0.5000, 0.7556)
O (0.7210, 0.5000, 0.5000)

=====

No. 3
Compound: BaMg30TiO32
Source: the Materials Project database
Functional: PBE-GGA
Structure: relaxed

energy of formation from the pure elements: -2.94 eV per atom
space group: No. 123
final energy: -5.97 eV/atom
M_tot: 1.7 Bohr magnetons per cell

a = 8.6734 Å, b = 8.6734 Å, c = 8.6797 Å
α = 90.00°, β = 90.00°, γ = 90.00°
Fractional coordinates of all 64 atoms:
O (0.5000, 0.2559, 0.5000)
Mg (0.5000, 0.7485, 0.7510)
Mg (0.7488, 0.2512, 0.0000)
Mg (0.2515, 0.5000, 0.2490)
Mg (0.7422, 0.7422, 0.5000)
Mg (0.7485, 0.5000, 0.7510)
Mg (0.0000, 0.2599, 0.7556)
O (0.0000, 0.7428, 0.0000)
Mg (0.2512, 0.2512, 0.0000)
O (0.2492, 0.7508, 0.2502)
O (0.0000, 0.0000, 0.7761)
O (0.0000, 0.7206, 0.5000)
Mg (0.5000, 0.0000, 0.0000)
Mg (0.5000, 0.0000, 0.5000)
O (0.2516, 0.5000, 0.0000)
Mg (0.0000, 0.5000, 0.5000)
Ti (0.0000, 0.0000, 0.0000)
O (0.5000, 0.0000, 0.2439)
O (0.2794, 0.0000, 0.5000)
Mg (0.7488, 0.7488, 0.0000)
Mg (0.2578, 0.7422, 0.5000)
Mg (0.0000, 0.7401, 0.7556)
Mg (0.0000, 0.5000, 0.0000)
O (0.7484, 0.5000, 0.0000)
O (0.5000, 0.7441, 0.5000)
O (0.5000, 0.0000, 0.7561)
Mg (0.2512, 0.7488, 0.0000)
O (0.2492, 0.7508, 0.7498)
Mg (0.7401, 0.0000, 0.7556)
O (0.0000, 0.2794, 0.5000)
Mg (0.2599, 0.0000, 0.7556)
Mg (0.7422, 0.2578, 0.5000)
O (0.7508, 0.2492, 0.7498)
Mg (0.2599, 0.0000, 0.2444)
Mg (0.0000, 0.2599, 0.2444)
Mg (0.0000, 0.7401, 0.2444)
O (0.0000, 0.2572, 0.0000)
O (0.2492, 0.2492, 0.2502)
Mg (0.5000, 0.7485, 0.2490)
Mg (0.2578, 0.2578, 0.5000)
Mg (0.2515, 0.5000, 0.7510)
O (0.0000, 0.5000, 0.2439)
O (0.5000, 0.7484, 0.0000)
O (0.5000, 0.5000, 0.2482)
O (0.7508, 0.7508, 0.2502)
O (0.7206, 0.0000, 0.5000)
Mg (0.5000, 0.5000, 0.0000)
Mg (0.5000, 0.5000, 0.5000)
O (0.7508, 0.7508, 0.7498)
Mg (0.5000, 0.2515, 0.7510)
Mg (0.5000, 0.2515, 0.2490)
O (0.7428, 0.0000, 0.0000)
O (0.5000, 0.5000, 0.7518)
O (0.7441, 0.5000, 0.5000)
Ba (0.0000, 0.0000, 0.5000)
O (0.0000, 0.5000, 0.7561)
O (0.0000, 0.0000, 0.2239)
O (0.2572, 0.0000, 0.0000)
O (0.2492, 0.2492, 0.7498)
O (0.2559, 0.5000, 0.5000)
Mg (0.7485, 0.5000, 0.2490)
Mg (0.7401, 0.0000, 0.2444)
O (0.7508, 0.2492, 0.2502)
O (0.5000, 0.2516, 0.0000)

=====

No. 4
Compound: Ba3MgTi2O7
Source: the Materials Project database
Functional: PBE-GGA
Structure: relaxed

relative energy among the computed polymorphs: 37 meV/atom
energy of formation from the pure elements: -3.04 eV per atom
space group: No. 1
final energy: -7.11 eV/atom
M_tot: 0.4 Bohr magnetons per cell

a = 3.9194 Å, b = 15.2658 Å, c = 5.5454 Å
α = 86.70°, β = 44.95°, γ = 94.97°
Fractional coordinates of all 13 atoms:
O (0.1862, 0.1849, 0.1505)
O (0.8714, 0.8681, 0.3561)
O (0.5196, 0.0179, 0.2593)
Mg (0.3073, 0.8050, 0.8987)
O (0.1854, 0.1849, 0.6508)
O (0.0168, 0.5077, 0.4509)
Ti (0.3988, 0.8969, 0.3375)
Ti (0.7060, 0.2058, 0.1374)
Ba (0.0459, 0.5528, 0.8988)
Ba (0.8402, 0.3404, 0.5488)
Ba (0.5583, 0.0570, 0.7341)
O (0.8681, 0.8671, 0.8578)
O (0.8281, 0.3278, 0.0577)

=====

No. 5
Compound: Ba3MgTi2O7
Source: the Materials Project database
Functional: PBE-GGA
Structure: relaxed

relative energy among the computed polymorphs: 0 meV/atom
energy of formation from the pure elements: -3.08 eV per atom
space group: No. 1
final energy: -7.15 eV/atom
M_tot: 0.1 Bohr magnetons per cell

a = 4.0400 Å, b = 12.5205 Å, c = 5.6990 Å
α = 90.20°, β = 44.77°, γ = 90.47°
Fractional coordinates of all 13 atoms:
Ba (0.4540, 0.9806, 0.8071)
O (0.4536, 0.6624, 0.3074)
O (0.9856, 0.1577, 0.3028)
O (0.4683, 0.9896, 0.3046)
O (0.9812, 0.1609, 0.8001)
O (0.9949, 0.4772, 0.8082)
O (0.9571, 0.8213, 0.3081)
Ba (0.4492, 0.6586, 0.8088)
Ti (0.4493, 0.8142, 0.3087)
Ba (0.4592, 0.3174, 0.8057)
Mg (0.4617, 0.4980, 0.3075)
Ti (0.4466, 0.1390, 0.3086)
O (0.9549, 0.8239, 0.8067)